Record 1
CeNdC4: relaxed, PBE-GGA.

Cell lengths 3.8097, 3.8097, 6.4009 Å; angles 90.00, 90.00, 90.00 degrees
Last column: nearest neighbours and their distance in Å.
Positions (direct):
Ce: 0.0000 0.0000 0.0000  10 C 2.55-2.77
Nd: 0.5000 0.5000 0.5000  10 C 2.55-2.77
C: 0.0000 0.0000 0.3983  1 C 1.30
C: 0.0000 0.0000 0.6017  1 C 1.30
C: 0.5000 0.5000 0.1018  1 C 1.30
C: 0.5000 0.5000 0.8982  1 C 1.30

Values from the calculation:
The space-group type is P4/mmm. The value obtained for the energy relative to the elements is -130 meV/atom. The raw total energy comes out at -8.07 eV/atom. The calculation puts the spin magnetization at 0.5 μB/f.u.

***

Record 2
Ce4C10O31: relaxed, PBE-GGA.

Cell lengths 6.4724, 8.3330, 13.0290 Å; angles 106.79, 90.93, 102.68 degrees
Last column: nearest neighbours and their distance in Å.
Positions (direct):
Ce: 0.0000 0.0000 0.0000  1 O 2.00
Ce: 0.1858 0.0437 0.5319  1 O 2.00
Ce: 0.4093 0.7108 0.3616  4 O 2.24-2.48
Ce: 0.7778 0.3353 0.1711  6 O 2.26-2.52
C: 0.9996 0.9434 0.7420  2 O 1.26-1.27
C: 0.0455 0.7206 0.1320  2 O 1.26-1.27
C: 0.1385 0.3244 0.4009  2 O 1.26-1.27
C: 0.1838 0.1037 0.7900  2 O 1.26-1.27
C: 0.3196 0.3142 0.1400  3 O 1.28-1.30
C: 0.3289 0.4169 0.4869  2 O 1.26
C: 0.5307 0.0815 0.3044  2 O 1.26-1.27
C: 0.6538 0.9652 0.2283  2 O 1.26-1.27
C: 0.8549 0.6282 0.0459  2 O 1.26
C: 0.8673 0.7312 0.3934  3 O 1.28-1.30
O: 0.0410 0.1776 0.4051  1 C 1.26
O: 0.0697 0.7495 0.4150  1 C 1.30
O: 0.0834 0.6410 0.1971  1 C 1.27
O: 0.1000 0.4038 0.3359  1 C 1.27
O: 0.1167 0.2939 0.1189  1 C 1.30
O: 0.1434 0.8674 0.1281  1 C 1.26
O: 0.2243 0.1487 0.8910  1 C 1.26
O: 0.2738 0.7636 0.9077  1 O 1.24
O: 0.2774 0.1736 0.7237  1 C 1.27
O: 0.3327 0.6364 0.9169  1 O 1.24
O: 0.3676 0.3360 0.5507  1 C 1.26
O: 0.3928 0.0058 0.3536  1 C 1.27
O: 0.3940 0.7254 0.7506  1 O 1.22
O: 0.3997 0.1834 0.0999  1 C 1.29
O: 0.4148 0.9135 0.5190  2 Ce 2.00-2.24
O: 0.4298 0.5660 0.4886  1 C 1.26
O: 0.4397 0.4573 0.1968  1 C 1.28
O: 0.4532 0.6007 0.7610  1 O 1.22
O: 0.5762 0.2395 0.3119  1 C 1.26
O: 0.6092 0.8075 0.2213  1 C 1.26
O: 0.7458 0.5885 0.3372  1 C 1.28
O: 0.7540 0.4794 0.0449  1 C 1.26
O: 0.7731 0.1324 0.0124  1 Ce 2.00
O: 0.7894 0.8635 0.4325  1 C 1.29
O: 0.7912 0.0406 0.1786  1 C 1.27
O: 0.8154 0.7089 0.9823  1 C 1.26
O: 0.8639 0.2678 0.6096  1 O 1.23
O: 0.8693 0.4143 0.6046  1 O 1.23
O: 0.9083 0.8721 0.8081  1 C 1.27
O: 0.9108 0.3071 0.8301  1 C 2.66, 2 O 2.80-2.87
O: 0.9601 0.8987 0.6411  1 C 1.26

Values from the calculation:
The space-group type is P1. The value obtained for the energy relative to the elements is -1570 meV/atom. The raw total energy comes out at -7.45 eV/atom. The calculation puts the spin magnetization at 2.0 μB/f.u.

***

Record 3
CeCO4: relaxed, PBE-GGA.

Cell lengths 11.7958, 11.7958, 10.1694 Å; angles 90.00, 90.00, 120.00 degrees
Last column: nearest neighbours and their distance in Å.
Positions (direct):
Ce: 0.2159 0.4404 0.2452  6 O 2.26-2.50
Ce: 0.2159 0.4404 0.7548  6 O 2.26-2.50
Ce: 0.2246 0.7841 0.2452  6 O 2.26-2.50
Ce: 0.2246 0.7841 0.7548  6 O 2.26-2.50
Ce: 0.2258 0.1163 0.2539  2 O 2.17-2.31
Ce: 0.2258 0.1163 0.7461  2 O 2.17-2.31
Ce: 0.5534 0.4462 0.2486  3 O 2.19-2.43
Ce: 0.5534 0.4462 0.7514  3 O 2.19-2.43
Ce: 0.5538 0.1073 0.2486  3 O 2.19-2.43
Ce: 0.5538 0.1073 0.7514  3 O 2.19-2.43
Ce: 0.5596 0.7754 0.2452  6 O 2.26-2.50
Ce: 0.5596 0.7754 0.7548  6 O 2.26-2.50
Ce: 0.8837 0.1095 0.2539  2 O 2.17-2.31
Ce: 0.8837 0.1095 0.7461  2 O 2.17-2.31
Ce: 0.8905 0.7742 0.2539  2 O 2.17-2.31
Ce: 0.8905 0.7742 0.7461  2 O 2.17-2.31
Ce: 0.8927 0.4466 0.2486  3 O 2.19-2.43
Ce: 0.8927 0.4466 0.7514  3 O 2.19-2.43
C: 0.0243 0.1949 0.0000  3 O 1.29
C: 0.0831 0.2038 0.5000  3 O 1.28-1.30
C: 0.1207 0.9169 0.5000  3 O 1.28-1.30
C: 0.1287 0.5844 0.0000  3 O 1.28-1.30
C: 0.1423 0.6449 0.5000  3 O 1.29
C: 0.1706 0.9757 0.0000  3 O 1.29
C: 0.3551 0.4973 0.5000  3 O 1.29
C: 0.4156 0.5443 0.0000  3 O 1.28-1.30
C: 0.4557 0.8713 0.0000  3 O 1.28-1.30
C: 0.4621 0.2435 0.0000  3 O 1.28-1.30
C: 0.4726 0.3003 0.5000  3 O 1.29
C: 0.5027 0.8577 0.5000  3 O 1.29
C: 0.6997 0.1723 0.5000  3 O 1.29
C: 0.7565 0.2186 0.0000  3 O 1.28-1.30
C: 0.7814 0.5379 0.0000  3 O 1.28-1.30
C: 0.7962 0.8793 0.5000  3 O 1.28-1.30
C: 0.8051 0.8294 0.0000  3 O 1.29
C: 0.8277 0.5274 0.5000  3 O 1.29
O: 0.0000 0.0000 0.2490  3 Ce 2.31
O: 0.0000 0.0000 0.7510  3 Ce 2.31
O: 0.0009 0.3458 0.2976  3 Ce 2.19-2.45
O: 0.0009 0.3458 0.7024  3 Ce 2.19-2.45
O: 0.0006 0.6791 0.2008  2 Ce 2.17-2.33
O: 0.0006 0.6791 0.7992  2 Ce 2.17-2.33
O: 0.0773 0.2458 0.1113  1 C 1.29
O: 0.0773 0.2458 0.8887  1 C 1.29
O: 0.0912 0.5926 0.3882  1 C 1.29
O: 0.0912 0.5926 0.6118  1 C 1.29
O: 0.0908 0.8534 0.3892  1 C 1.30
O: 0.0908 0.8534 0.6108  1 C 1.30
O: 0.0933 0.5207 0.1107  1 C 1.30
O: 0.0933 0.5207 0.8893  1 C 1.30
O: 0.1466 0.2374 0.3892  1 C 1.30
O: 0.1466 0.2374 0.6108  1 C 1.30
O: 0.1685 0.9227 0.1113  1 C 1.29
O: 0.1685 0.9227 0.8887  1 C 1.29
O: 0.1793 0.0419 0.5000  1 C 1.28
O: 0.1793 0.0890 0.0000  1 C 1.29
O: 0.1988 0.7092 0.0000  1 C 1.28
O: 0.2416 0.4884 0.5000  1 C 1.29
O: 0.2468 0.7584 0.5000  1 C 1.29
O: 0.2908 0.4896 0.0000  1 C 1.28
O: 0.3209 0.3215 0.2008  2 Ce 2.17-2.33
O: 0.3209 0.3215 0.7992  2 Ce 2.17-2.33
O: 0.3333 0.6667 0.2477  3 Ce 2.31
O: 0.3333 0.6667 0.7523  3 Ce 2.31
O: 0.3449 0.9991 0.2976  3 Ce 2.19-2.45
O: 0.3449 0.9991 0.7024  3 Ce 2.19-2.45
O: 0.4074 0.4986 0.3882  1 C 1.29
O: 0.4074 0.4986 0.6118  1 C 1.29
O: 0.4227 0.2465 0.3884  1 C 1.29
O: 0.4227 0.2465 0.6116  1 C 1.29
O: 0.4274 0.9067 0.1107  1 C 1.30
O: 0.4274 0.9067 0.8893  1 C 1.30
O: 0.4308 0.1797 0.1107  1 C 1.30
O: 0.4308 0.1797 0.8893  1 C 1.30
O: 0.4793 0.5726 0.1107  1 C 1.30
O: 0.4793 0.5726 0.8893  1 C 1.30
O: 0.5014 0.9088 0.3882  1 C 1.29
O: 0.5014 0.9088 0.6118  1 C 1.29
O: 0.5104 0.8012 0.0000  1 C 1.28
O: 0.5116 0.7532 0.5000  1 C 1.29
O: 0.5229 0.3687 0.0000  1 C 1.28
O: 0.5741 0.4155 0.5000  1 C 1.29
O: 0.5845 0.1587 0.5000  1 C 1.29
O: 0.6313 0.1542 0.0000  1 C 1.28
O: 0.6542 0.6551 0.2976  3 Ce 2.19-2.45
O: 0.6542 0.6551 0.7024  3 Ce 2.19-2.45
O: 0.6667 0.3333 0.2507  3 Ce 2.31
O: 0.6667 0.3333 0.7493  3 Ce 2.31
O: 0.6785 0.9994 0.2008  2 Ce 2.17-2.33
O: 0.6785 0.9994 0.7992  2 Ce 2.17-2.33
O: 0.7489 0.5692 0.1107  1 C 1.30
O: 0.7489 0.5692 0.8893  1 C 1.30
O: 0.7535 0.1762 0.3884  1 C 1.29
O: 0.7535 0.1762 0.6116  1 C 1.29
O: 0.7542 0.8315 0.1113  1 C 1.29
O: 0.7542 0.8315 0.8887  1 C 1.29
O: 0.7626 0.9092 0.3892  1 C 1.30
O: 0.7626 0.9092 0.6108  1 C 1.30
O: 0.8203 0.2511 0.1107  1 C 1.30
O: 0.8203 0.2511 0.8893  1 C 1.30
O: 0.8238 0.5773 0.3884  1 C 1.29
O: 0.8238 0.5773 0.6116  1 C 1.29
O: 0.8413 0.4259 0.5000  1 C 1.29
O: 0.8458 0.4771 0.0000  1 C 1.28
O: 0.8626 0.8207 0.5000  1 C 1.28
O: 0.9097 0.8207 0.0000  1 C 1.29
O: 0.9110 0.0903 0.0000  1 C 1.29
O: 0.9581 0.1374 0.5000  1 C 1.28

Values from the calculation:
The space-group type is P-6. The value obtained for the energy relative to the elements is -2802 meV/atom. The raw total energy comes out at -8.17 eV/atom. The calculation puts the spin magnetization at 0.0 μB/f.u.

***

Record 4
CeCO: relaxed, PBE-GGA.

Cell lengths 6.8511, 3.8758, 6.8340 Å; angles 90.00, 97.16, 90.00 degrees
Last column: nearest neighbours and their distance in Å.
Positions (direct):
Ce: 0.1933 0.0000 0.2251  4 O 2.36-2.38, 2 C 2.64
Ce: 0.3067 0.5000 0.7749  4 O 2.36-2.38, 2 C 2.64
Ce: 0.6933 0.5000 0.2251  4 O 2.36-2.38, 2 C 2.64
Ce: 0.8067 0.0000 0.7749  4 O 2.36-2.38, 2 C 2.64
C: 0.0567 0.5000 0.4313  1 C 1.29
C: 0.4433 0.0000 0.5687  1 C 1.29
C: 0.5567 0.0000 0.4313  1 C 1.29
C: 0.9433 0.5000 0.5687  1 C 1.29
O: 0.1518 0.0000 0.8768  4 Ce 2.36-2.38
O: 0.3482 0.5000 0.1232  4 Ce 2.36-2.38
O: 0.6518 0.5000 0.8768  4 Ce 2.36-2.38
O: 0.8482 0.0000 0.1232  4 Ce 2.36-2.38

Values from the calculation:
The space-group type is C2/m. The value obtained for the energy relative to the elements is -2105 meV/atom. The raw total energy comes out at -8.58 eV/atom. The calculation puts the spin magnetization at 0.2 μB/f.u.